A relaxed structure of NdMn2Fe10. Source: Materials Project, functional GGA-PBE.

total magnetization: 1.47 μB per atom
DFT total energy: -214.0 eV/cell

a b c (Å): 4.667 8.431 8.540
angles (deg): 90.00 90.00 90.00
Space group Immm (No. 71)
Asymmetric unit:
Nd1 0.000 0.000 0.000
Mn1 0.000 0.000 0.374
Fe1 0.000 0.271 0.500
Fe2 0.000 0.360 0.000
Fe3 0.000 0.500 0.265
Fe4 0.250 0.250 0.250